Record 1
Ga2BSb PBE relaxed; MP2020-corrected energy = -0.2458 Ry per atom; total magnetization = 0.0 μB per formula unit; formation energy from the elements = 0.871 eV per atom
1.0
0.000 3.350 3.350
3.350 0.000 3.350
3.350 3.350 0.000
Ga B Sb
2 1 1
Direct
0.250 0.250 0.250
0.750 0.750 0.750
0.000 0.000 0.000
0.500 0.500 0.500



Record 2
MgTa5P9O36 PBE relaxed; MP2020-corrected energy = -0.6353 Ry per atom; total magnetization = 0.0 μB per formula unit; formation energy from the elements = -3.002 eV per atom
1.0
8.748 0.000 0.000
-4.374 7.576 0.000
0.000 0.000 22.548
Mg Ta P O
2 10 18 72
Direct
0.000 0.000 0.000
0.000 0.000 0.500
0.000 0.000 0.289
0.000 0.000 0.789
0.333 0.667 0.165
0.333 0.667 0.454
0.333 0.667 0.665
0.333 0.667 0.954
0.667 0.333 0.118
0.667 0.333 0.335
0.667 0.333 0.618
0.667 0.333 0.835
0.000 0.284 0.396
0.000 0.716 0.896
0.047 0.374 0.060
0.047 0.673 0.560
0.284 0.000 0.396
0.284 0.284 0.896
0.327 0.374 0.560
0.327 0.953 0.060
0.381 0.047 0.727
0.381 0.333 0.227
0.626 0.673 0.060
0.626 0.953 0.560
0.667 0.047 0.227
0.667 0.619 0.727
0.716 0.000 0.896
0.716 0.716 0.396
0.953 0.333 0.727
0.953 0.619 0.227
0.026 0.196 0.053
0.026 0.829 0.553
0.030 0.201 0.338
0.030 0.829 0.838
0.134 0.502 0.006
0.134 0.632 0.506
0.137 0.495 0.718
0.137 0.642 0.218
0.162 0.473 0.116
0.162 0.689 0.616
0.163 0.473 0.402
0.163 0.690 0.902
0.171 0.196 0.553
0.171 0.201 0.838
0.171 0.970 0.338
0.171 0.974 0.053
0.196 0.026 0.737
0.196 0.170 0.237
0.209 0.037 0.449
0.209 0.173 0.949
0.310 0.473 0.902
0.310 0.837 0.402
0.311 0.473 0.616
0.311 0.838 0.116
0.358 0.495 0.218
0.358 0.863 0.718
0.368 0.502 0.506
0.368 0.866 0.006
0.467 0.164 0.672
0.467 0.302 0.172
0.472 0.159 0.381
0.472 0.313 0.881
0.497 0.133 0.782
0.497 0.363 0.282
0.498 0.632 0.006
0.498 0.866 0.506
0.500 0.134 0.071
0.500 0.366 0.571
0.505 0.642 0.718
0.505 0.863 0.218
0.527 0.689 0.116
0.527 0.690 0.402
0.527 0.837 0.902
0.527 0.838 0.616
0.634 0.134 0.571
0.634 0.500 0.071
0.637 0.133 0.282
0.637 0.503 0.782
0.687 0.159 0.881
0.687 0.528 0.381
0.698 0.164 0.172
0.698 0.533 0.672
0.799 0.829 0.338
0.799 0.970 0.838
0.804 0.829 0.053
0.804 0.974 0.553
0.827 0.037 0.949
0.827 0.791 0.449
0.830 0.026 0.237
0.830 0.804 0.737
0.836 0.302 0.672
0.836 0.533 0.172
0.841 0.313 0.381
0.841 0.528 0.881
0.866 0.366 0.071
0.866 0.500 0.571
0.867 0.363 0.782
0.867 0.503 0.282
0.963 0.173 0.449
0.963 0.791 0.949
0.974 0.170 0.737
0.974 0.804 0.237



Record 3
Li2Mg3Ti6O16 PBE relaxed; MP2020-corrected energy = -0.6108 Ry per atom; total magnetization = 0.0 μB per formula unit; formation energy from the elements = -3.304 eV per atom
1.0
8.478 0.000 0.000
0.000 8.474 0.000
-0.039 0.000 8.483
Li Mg Ti O
4 6 12 32
Direct
0.005 0.000 0.252
0.125 0.622 0.126
0.875 0.122 0.874
0.995 0.500 0.748
0.242 0.753 0.502
0.250 0.245 0.006
0.498 0.993 0.756
0.502 0.493 0.244
0.750 0.745 0.994
0.758 0.253 0.498
0.117 0.871 0.884
0.127 0.134 0.630
0.132 0.377 0.383
0.364 0.613 0.868
0.375 0.866 0.134
0.381 0.123 0.384
0.619 0.623 0.616
0.625 0.366 0.866
0.636 0.113 0.132
0.868 0.877 0.617
0.873 0.634 0.370
0.883 0.371 0.116
0.105 0.370 0.139
0.110 0.352 0.608
0.110 0.885 0.640
0.111 0.603 0.378
0.131 0.109 0.856
0.140 0.138 0.391
0.142 0.875 0.103
0.145 0.638 0.872
0.352 0.355 0.357
0.359 0.105 0.605
0.360 0.890 0.353
0.361 0.859 0.888
0.380 0.643 0.111
0.388 0.108 0.138
0.392 0.394 0.893
0.396 0.640 0.641
0.604 0.140 0.359
0.608 0.894 0.107
0.612 0.608 0.862
0.620 0.143 0.889
0.639 0.359 0.112
0.640 0.390 0.647
0.641 0.605 0.395
0.648 0.855 0.643
0.855 0.138 0.128
0.858 0.375 0.897
0.860 0.638 0.609
0.869 0.609 0.144
0.889 0.103 0.622
0.890 0.385 0.360
0.890 0.852 0.392
0.895 0.870 0.861



Record 4
Li5BO4 PBE relaxed; MP2020-corrected energy = -0.4382 Ry per atom; offset from the most stable computed form = 0.000 eV/f.u.; total magnetization = 0.0 μB per formula unit; formation energy from the elements = -2.360 eV per atom
1.0
4.961 0.000 0.000
0.000 15.181 0.000
0.000 0.000 8.644
Li B O
40 8 32
Direct
0.077 0.140 0.201
0.077 0.360 0.701
0.082 0.064 0.944
0.082 0.436 0.444
0.088 0.504 0.160
0.088 0.996 0.660
0.100 0.749 0.576
0.100 0.751 0.076
0.104 0.672 0.827
0.104 0.828 0.327
0.396 0.172 0.827
0.396 0.328 0.327
0.400 0.249 0.576
0.400 0.251 0.076
0.412 0.004 0.160
0.412 0.496 0.660
0.418 0.564 0.944
0.418 0.936 0.444
0.423 0.640 0.201
0.423 0.860 0.701
0.577 0.140 0.299
0.577 0.360 0.799
0.582 0.064 0.556
0.582 0.436 0.056
0.588 0.504 0.340
0.588 0.996 0.840
0.600 0.749 0.924
0.600 0.751 0.424
0.604 0.672 0.673
0.604 0.828 0.173
0.896 0.172 0.673
0.896 0.328 0.173
0.900 0.249 0.924
0.900 0.251 0.424
0.912 0.004 0.340
0.912 0.496 0.840
0.918 0.564 0.556
0.918 0.936 0.056
0.923 0.640 0.299
0.923 0.860 0.799
0.175 0.125 0.460
0.175 0.375 0.960
0.325 0.625 0.460
0.325 0.875 0.960
0.675 0.125 0.040
0.675 0.375 0.540
0.825 0.625 0.040
0.825 0.875 0.540
0.125 0.620 0.046
0.125 0.880 0.546
0.199 0.548 0.376
0.199 0.952 0.876
0.235 0.627 0.628
0.235 0.709 0.377
0.235 0.791 0.877
0.235 0.873 0.128
0.265 0.127 0.628
0.265 0.209 0.377
0.265 0.291 0.877
0.265 0.373 0.128
0.301 0.048 0.376
0.301 0.452 0.876
0.375 0.120 0.046
0.375 0.380 0.546
0.625 0.620 0.454
0.625 0.880 0.954
0.699 0.548 0.124
0.699 0.952 0.624
0.735 0.627 0.872
0.735 0.709 0.123
0.735 0.791 0.623
0.735 0.873 0.372
0.765 0.127 0.872
0.765 0.209 0.123
0.765 0.291 0.623
0.765 0.373 0.372
0.801 0.048 0.124
0.801 0.452 0.624
0.875 0.120 0.454
0.875 0.380 0.954